Computed, not measured: an optimized crystal structure of MgSi2 at the PBE level of DFT.

POSCAR file:
```
MgSi2
1.0
5.741 0.000 0.000
1.426 7.475 0.000
1.422 0.251 9.867
Mg Si
8 16
direct
0.003 0.191 0.267
0.229 0.547 0.194
0.286 0.928 0.462
0.365 0.441 0.636
0.635 0.559 0.364
0.714 0.072 0.538
0.771 0.453 0.806
0.997 0.809 0.733
0.002 0.337 0.516
0.115 0.136 0.712
0.139 0.889 0.064
0.205 0.269 0.999
0.225 0.577 0.910
0.398 0.272 0.382
0.475 0.825 0.853
0.493 0.144 0.809
0.507 0.856 0.191
0.525 0.175 0.147
0.602 0.728 0.618
0.775 0.423 0.090
0.795 0.731 0.001
0.861 0.111 0.936
0.885 0.864 0.288
0.998 0.663 0.484
```

Summary:
raw total energy: -12.0 eV/f.u.
mass density: 2.5 g cm⁻³
volume: 17.64 Å³/atom
formation energy: 0.211 eV per atom
spin magnetization: 0.00 μB/cell
energy relative to the lowest polymorph listed for this composition: 133 meV per atom